(1)
# Ti2ZnO4

Crystalline Ti2ZnO4 at its relaxed geometry (PBE, Materials Project).

The formation energy comes out at -2.867 eV/atom. The excess energy over the best structure of this formula in the dataset is 0.00 kJ/mol of atoms.

Lattice parameters (Å, degrees): 6.0416 6.0416 6.0416 60.00 60.00 60.00
Atoms (fractional coordinates):
Ti 0.0000 0.0000 0.0000
Ti 0.0000 0.0000 0.5000
Ti 0.0000 0.5000 0.0000
Ti 0.5000 0.0000 0.0000
Zn 0.3750 0.3750 0.3750
Zn 0.6250 0.6250 0.6250
O 0.2233 0.7589 0.7589
O 0.2411 0.2411 0.2411
O 0.2411 0.2411 0.7767
O 0.2411 0.7767 0.2411
O 0.7589 0.2233 0.7589
O 0.7589 0.7589 0.2233
O 0.7589 0.7589 0.7589
O 0.7767 0.2411 0.2411

---

(2)
# Ac2TlSn

Crystalline Ac2TlSn at its relaxed geometry (PBE, Materials Project).

The formation energy comes out at -0.472 eV/atom.

Lattice parameters (Å, degrees): 8.2319 8.2319 8.2319 90.00 90.00 90.00
Atoms (fractional coordinates):
Ac 0.2500 0.2500 0.2500
Ac 0.2500 0.2500 0.7500
Ac 0.2500 0.7500 0.2500
Ac 0.2500 0.7500 0.7500
Ac 0.7500 0.2500 0.2500
Ac 0.7500 0.2500 0.7500
Ac 0.7500 0.7500 0.2500
Ac 0.7500 0.7500 0.7500
Tl 0.0000 0.0000 0.0000
Tl 0.0000 0.5000 0.5000
Tl 0.5000 0.0000 0.5000
Tl 0.5000 0.5000 0.0000
Sn 0.0000 0.0000 0.5000
Sn 0.0000 0.5000 0.0000
Sn 0.5000 0.0000 0.0000
Sn 0.5000 0.5000 0.5000

---

(3)
# Bi2TeO2

Crystalline Bi2TeO2 at its relaxed geometry (PBE, Materials Project).

The formation energy comes out at -1.181 eV/atom.

Lattice parameters (Å, degrees): 4.0163 4.0316 7.0275 106.24 106.33 90.01
Atoms (fractional coordinates):
Bi 0.0000 0.0000 0.0000
Bi 0.3071 0.3154 0.6141
Te 0.6454 0.6678 0.3059
O 0.3999 0.9108 0.8071
O 0.9000 0.4108 0.8058

---

(4)
# Pr5AgS8

Crystalline Pr5AgS8 at its relaxed geometry (PBE, Materials Project).

The formation energy comes out at -2.106 eV/atom. The piezoelectric modulus e_max is 0.8 C/m2.

Lattice parameters (Å, degrees): 7.4861 7.4861 7.4861 109.75 109.75 108.91
Atoms (fractional coordinates):
Pr 0.0000 0.0000 0.0000
Pr 0.1328 0.5141 0.8839
Pr 0.4859 0.3697 0.6187
Pr 0.6303 0.2489 0.1161
Pr 0.7511 0.8672 0.3813
Ag 0.2500 0.7500 0.5000
S 0.0123 0.2524 0.3953
S 0.2264 0.1171 0.7514
S 0.3657 0.4750 0.2486
S 0.3830 0.9877 0.2402
S 0.5250 0.7736 0.8906
S 0.7476 0.1429 0.7598
S 0.8571 0.6170 0.6047
S 0.8829 0.6343 0.1094